(1)
{"formula": "TbSi2Pd2", "functional": "PBE-GGA", "state": "optimized geometry", "cell": [[-2.0820, 2.0820, 4.9911], [2.0820, -2.0820, 4.9911], [2.0820, 2.0820, -4.9911]], "species": ["Tb", "Si", "Si", "Pd", "Pd"], "fractional_positions": [[0.0000, 0.0000, 0.0000], [0.3834, 0.3834, 0.0000], [0.6166, 0.6166, 0.0000], [0.2500, 0.7500, 0.5000], [0.7500, 0.2500, 0.5000]], "spacegroup": "I4/mmm, No. 139", "formation_enthalpy_0k_ev_per_atom": -0.95, "final_energy_ev_per_cell": -30.60}

(2)
{"formula": "Tm2SiPd2", "functional": "PBE-GGA", "state": "optimized geometry", "cell": [[7.4928, 0.0000, 0.0000], [0.0000, 13.6121, 0.0000], [0.0000, 0.0000, 4.1057]], "species": ["Tm", "Tm", "Tm", "Tm", "Tm", "Tm", "Tm", "Tm", "Si", "Si", "Si", "Si", "Pd", "Pd", "Pd", "Pd", "Pd", "Pd", "Pd", "Pd"], "fractional_positions": [[0.0425, 0.1259, 0.0000], [0.0514, 0.6308, 0.0000], [0.4486, 0.1308, 0.5000], [0.4575, 0.6259, 0.5000], [0.5425, 0.3741, 0.5000], [0.5514, 0.8692, 0.5000], [0.9486, 0.3692, 0.0000], [0.9575, 0.8741, 0.0000], [0.1529, 0.4723, 0.5000], [0.3471, 0.9723, 0.0000], [0.6529, 0.0277, 0.0000], [0.8471, 0.5277, 0.5000], [0.1728, 0.2810, 0.5000], [0.1787, 0.9808, 0.5000], [0.3213, 0.4808, 0.0000], [0.3272, 0.7810, 0.0000], [0.6728, 0.2190, 0.0000], [0.6787, 0.5192, 0.0000], [0.8213, 0.0192, 0.5000], [0.8272, 0.7190, 0.5000]], "spacegroup": "Pnnm, No. 58", "formation_enthalpy_0k_ev_per_atom": -0.81, "total_magnetization_mub_per_fu": 0.00, "final_energy_ev_per_cell": -115.05}

(3)
{"formula": "Tm2Si3Pd", "functional": "PBE-GGA", "state": "optimized geometry", "cell": [[8.1637, 0.0000, 0.0000], [-4.0819, 7.0700, 0.0000], [0.0000, 0.0000, 7.7386]], "species": ["Tm", "Tm", "Tm", "Tm", "Tm", "Tm", "Tm", "Tm", "Si", "Si", "Si", "Si", "Si", "Si", "Si", "Si", "Si", "Si", "Si", "Si", "Pd", "Pd", "Pd", "Pd"], "fractional_positions": [[0.0000, 0.0000, 0.2500], [0.0000, 0.0000, 0.7500], [0.0250, 0.5125, 0.2500], [0.4875, 0.5125, 0.2500], [0.4875, 0.9750, 0.2500], [0.5125, 0.0250, 0.7500], [0.5125, 0.4875, 0.7500], [0.9750, 0.4875, 0.7500], [0.1658, 0.3315, 0.5020], [0.1658, 0.3315, 0.9980], [0.1658, 0.8342, 0.5020], [0.1658, 0.8342, 0.9980], [0.3315, 0.1658, 0.0020], [0.3315, 0.1658, 0.4980], [0.6685, 0.8342, 0.5020], [0.6685, 0.8342, 0.9980], [0.8342, 0.1658, 0.0020], [0.8342, 0.1658, 0.4980], [0.8342, 0.6685, 0.0020], [0.8342, 0.6685, 0.4980], [0.3333, 0.6667, 0.5456], [0.3333, 0.6667, 0.9544], [0.6667, 0.3333, 0.0456], [0.6667, 0.3333, 0.4544]], "spacegroup": "P6_3/mmc, No. 194", "formation_enthalpy_0k_ev_per_atom": -0.86, "total_magnetization_mub_per_fu": 0.00, "final_energy_ev_per_cell": -142.33}

(4)
{"formula": "TmSi2Pd2", "functional": "PBE-GGA", "state": "optimized geometry", "cell": [[-2.0659, 2.0659, 4.9877], [2.0659, -2.0659, 4.9877], [2.0659, 2.0659, -4.9877]], "species": ["Tm", "Si", "Si", "Pd", "Pd"], "fractional_positions": [[0.0000, 0.0000, 0.0000], [0.3846, 0.3846, 0.0000], [0.6154, 0.6154, 0.0000], [0.2500, 0.7500, 0.5000], [0.7500, 0.2500, 0.5000]], "spacegroup": "I4/mmm, No. 139", "formation_enthalpy_0k_ev_per_atom": -0.92, "final_energy_ev_per_cell": -30.29}

(5)
{"formula": "Tm3Si6Pd20", "functional": "PBE-GGA", "state": "optimized geometry", "cell": [[0.0000, 6.1385, 6.1385], [6.1385, 0.0000, 6.1385], [6.1385, 6.1385, 0.0000]], "species": ["Tm", "Tm", "Tm", "Si", "Si", "Si", "Si", "Si", "Si", "Pd", "Pd", "Pd", "Pd", "Pd", "Pd", "Pd", "Pd", "Pd", "Pd", "Pd", "Pd", "Pd", "Pd", "Pd", "Pd", "Pd", "Pd", "Pd", "Pd"], "fractional_positions": [[0.0000, 0.0000, 0.0000], [0.2500, 0.2500, 0.2500], [0.7500, 0.7500, 0.7500], [0.2680, 0.2680, 0.7320], [0.2680, 0.7320, 0.2680], [0.2680, 0.7320, 0.7320], [0.7320, 0.2680, 0.2680], [0.7320, 0.2680, 0.7320], [0.7320, 0.7320, 0.2680], [0.0000, 0.0000, 0.3449], [0.0000, 0.0000, 0.6551], [0.0000, 0.3449, 0.0000], [0.0000, 0.3449, 0.6551], [0.0000, 0.6551, 0.0000], [0.0000, 0.6551, 0.3449], [0.1473, 0.6176, 0.6176], [0.3449, 0.0000, 0.0000], [0.3449, 0.0000, 0.6551], [0.3449, 0.6551, 0.0000], [0.3824, 0.3824, 0.3824], [0.3824, 0.3824, 0.8527], [0.3824, 0.8527, 0.3824], [0.6176, 0.1473, 0.6176], [0.6176, 0.6176, 0.1473], [0.6176, 0.6176, 0.6176], [0.6551, 0.0000, 0.0000], [0.6551, 0.0000, 0.3449], [0.6551, 0.3449, 0.0000], [0.8527, 0.3824, 0.3824]], "spacegroup": "Fm-3m, No. 225", "formation_enthalpy_0k_ev_per_atom": -0.83, "final_energy_ev_per_cell": -173.79}

(6)
{"formula": "TmSiPd2", "functional": "PBE-GGA", "state": "optimized geometry", "cell": [[7.2852, 0.0000, 0.0000], [0.0000, 6.9846, 0.0000], [0.0000, 0.0000, 5.5089]], "species": ["Tm", "Tm", "Tm", "Tm", "Si", "Si", "Si", "Si", "Pd", "Pd", "Pd", "Pd", "Pd", "Pd", "Pd", "Pd"], "fractional_positions": [[0.0279, 0.2500, 0.1433], [0.4721, 0.7500, 0.6433], [0.5279, 0.2500, 0.3567], [0.9721, 0.7500, 0.8567], [0.1220, 0.7500, 0.3570], [0.3780, 0.2500, 0.8570], [0.6220, 0.7500, 0.1430], [0.8780, 0.2500, 0.6430], [0.1786, 0.0503, 0.5940], [0.1786, 0.4497, 0.5940], [0.3214, 0.5503, 0.0940], [0.3214, 0.9497, 0.0940], [0.6786, 0.0503, 0.9060], [0.6786, 0.4497, 0.9060], [0.8214, 0.5503, 0.4060], [0.8214, 0.9497, 0.4060]], "spacegroup": "Pnma, No. 62", "formation_enthalpy_0k_ev_per_atom": -0.99, "final_energy_ev_per_cell": -96.96}

(7)
{"formula": "U3Si6Pd20", "functional": "PBE-GGA", "state": "optimized geometry", "cell": [[0.0000, 6.1964, 6.1964], [6.1964, 0.0000, 6.1964], [6.1964, 6.1964, 0.0000]], "species": ["U", "U", "U", "Si", "Si", "Si", "Si", "Si", "Si", "Pd", "Pd", "Pd", "Pd", "Pd", "Pd", "Pd", "Pd", "Pd", "Pd", "Pd", "Pd", "Pd", "Pd", "Pd", "Pd", "Pd", "Pd", "Pd", "Pd"], "fractional_positions": [[0.0000, 0.0000, 0.0000], [0.2500, 0.2500, 0.2500], [0.7500, 0.7500, 0.7500], [0.2671, 0.2671, 0.7329], [0.2671, 0.7329, 0.2671], [0.2671, 0.7329, 0.7329], [0.7329, 0.2671, 0.2671], [0.7329, 0.2671, 0.7329], [0.7329, 0.7329, 0.2671], [0.0000, 0.0000, 0.3462], [0.0000, 0.0000, 0.6538], [0.0000, 0.3462, 0.0000], [0.0000, 0.3462, 0.6538], [0.0000, 0.6538, 0.0000], [0.0000, 0.6538, 0.3462], [0.1492, 0.6169, 0.6169], [0.3462, 0.0000, 0.0000], [0.3462, 0.0000, 0.6538], [0.3462, 0.6538, 0.0000], [0.3831, 0.3831, 0.3831], [0.3831, 0.3831, 0.8508], [0.3831, 0.8508, 0.3831], [0.6169, 0.1492, 0.6169], [0.6169, 0.6169, 0.1492], [0.6169, 0.6169, 0.6169], [0.6538, 0.0000, 0.0000], [0.6538, 0.0000, 0.3462], [0.6538, 0.3462, 0.0000], [0.8508, 0.3831, 0.3831]], "spacegroup": "Fm-3m, No. 225", "formation_enthalpy_0k_ev_per_atom": -0.63, "final_energy_ev_per_cell": -188.26}

(8)
{"formula": "U2Si3Pd", "functional": "PBE-GGA", "state": "optimized geometry", "cell": [[3.7986, 0.0000, 0.0000], [0.0000, 4.1369, 0.0000], [0.0000, 0.0000, 7.1598]], "species": ["U", "U", "Si", "Si", "Si", "Pd"], "fractional_positions": [[0.0000, 0.0000, 0.0000], [0.0000, 0.5000, 0.4770], [0.5000, 0.0000, 0.3205], [0.5000, 0.0000, 0.6457], [0.5000, 0.5000, 0.1607], [0.5000, 0.5000, 0.8220]], "spacegroup": "Pmm2, No. 25", "formation_enthalpy_0k_ev_per_atom": -0.42, "total_magnetization_mub_per_fu": 4.56, "final_energy_ev_per_cell": -46.53}